Record 1
Below is a relaxed structure of LaYCo10, with properties calculated at the PBE-GGA level.

Computed properties:
Space group = Pmm2, No. 25
ρ = 7.09 g/cm3
Calculated formation energy = 9.9 eV per formula unit
ΔE to the lowest computed polymorph = 20.44 kcal/mol of atoms

Cell: 2.5638 8.4073 8.8759 Å, 90.00 90.00 90.00°
Closest atoms and distances in Å follow each position.
Sites, in units of the cell vectors:
La  0.0000  0.0920  0.0000  2 La 2.56, 4 Co 2.71-2.76
Y  0.0000  0.4667  0.5000  2 Y 2.56, 4 Co 2.75-2.80
Co  0.0000  0.9465  0.2730  3 Co 2.22-2.44
Co  0.0000  0.4537  0.8704  3 Co 2.25-2.30
Co  0.0000  0.4537  0.1296  3 Co 2.25-2.30
Co  0.0000  0.9465  0.7270  3 Co 2.22-2.44
Co  0.0000  0.2362  0.2796  3 Co 2.26-2.44
Co  0.0000  0.6826  0.7398  3 Co 2.22-2.34
Co  0.0000  0.6826  0.2602  3 Co 2.22-2.34
Co  0.0000  0.2362  0.7204  3 Co 2.26-2.44
Co  0.0000  0.0767  0.5000  6 Co 2.29-2.56
Co  0.0000  0.7263  0.0000  6 Co 2.34-2.56

=====

Record 2
Below is a relaxed structure of LaYCo10, with properties calculated at the PBE-GGA level.

Computed properties:
Space group = Pmmm, No. 47
ρ = 7.99 g/cm3
Calculated formation energy = -0.8 eV per formula unit
ΔE to the lowest computed polymorph = 0.00 kcal/mol of atoms

Cell: 3.9621 4.9614 8.6415 Å, 90.00 90.00 90.00°
Closest atoms and distances in Å follow each position.
Sites, in units of the cell vectors:
La  0.0000  0.5000  0.0000  10 Co 2.89-3.17
Y  0.0000  0.0000  0.5000  18 Co 2.84-3.17
Co  0.0000  0.5000  0.3343  6 Co 2.44-2.45
Co  0.0000  0.0000  0.8292  6 Co 2.44-2.47
Co  0.0000  0.0000  0.1708  6 Co 2.44-2.47
Co  0.0000  0.5000  0.6657  6 Co 2.44-2.45
Co  0.5000  0.5000  0.5000  8 Co 2.44
Co  0.5000  0.0000  0.0000  8 Co 2.47-2.54
Co  0.5000  0.7576  0.2589  8 Co 2.40-2.56
Co  0.5000  0.2424  0.7411  8 Co 2.40-2.56
Co  0.5000  0.2424  0.2589  8 Co 2.40-2.56
Co  0.5000  0.7576  0.7411  8 Co 2.40-2.56

=====

Record 3
Below is a relaxed structure of LaZn2Co, with properties calculated at the PBE-GGA level.

Computed properties:
Space group = Cmcm, No. 63
ρ = 7.37 g/cm3
Calculated formation energy = -0.8 eV per formula unit

Cell: 6.8399 6.8399 4.4342 Å, 90.00 90.00 134.45°
Closest atoms and distances in Å follow each position.
Sites, in units of the cell vectors:
La  0.7967  0.2033  0.2500  4 Co 2.86-3.17, 4 Zn 3.19
La  0.2033  0.7967  0.7500  4 Co 2.86-3.17, 4 Zn 3.19
Zn  0.7993  0.6851  0.2500  3 Co 2.55-2.67, 4 Zn 2.56-2.73
Zn  0.2007  0.3149  0.7500  3 Co 2.55-2.67, 4 Zn 2.56-2.73
Zn  0.3149  0.2007  0.2500  3 Co 2.55-2.67, 4 Zn 2.56-2.73
Zn  0.6851  0.7993  0.7500  3 Co 2.55-2.67, 4 Zn 2.56-2.73
Co  0.3824  0.6176  0.2500  6 Zn 2.55-2.67
Co  0.6176  0.3824  0.7500  6 Zn 2.55-2.67

=====

Record 4
Below is a relaxed structure of LiLu2Co, with properties calculated at the PBE-GGA level.

Computed properties:
Space group = Fm-3m, No. 225
ρ = 9.01 g/cm3
Calculated formation energy = -0.6 eV per formula unit

Cell: 4.7679 4.7679 4.7679 Å, 60.00 60.00 60.00°
Closest atoms and distances in Å follow each position.
Sites, in units of the cell vectors:
Li  0.0000  0.0000  0.0000  8 Lu 2.92
Lu  0.2500  0.2500  0.2500  4 Co 2.92, 4 Li 2.92
Lu  0.7500  0.7500  0.7500  4 Co 2.92, 4 Li 2.92
Co  0.5000  0.5000  0.5000  8 Lu 2.92

=====

Record 5
Below is a relaxed structure of LiMg14Co, with properties calculated at the PBE-GGA level.

Computed properties:
Space group = Amm2, No. 38
ρ = 1.98 g/cm3
Calculated formation energy = 1.0 eV per formula unit
ΔE to the lowest computed polymorph = 0.00 kcal/mol of atoms

Cell: 6.2920 6.3886 9.8341 Å, 90.00 90.00 120.51°
Closest atoms and distances in Å follow each position.
Sites, in units of the cell vectors:
Li  0.1653  0.8327  0.1250  10 Mg 2.93-3.21, 2 Co 3.19
Mg  0.1698  0.3349  0.6250  12 Mg 3.13-3.19
Mg  0.1729  0.8364  0.6250  12 Mg 3.05-3.23
Mg  0.6776  0.3422  0.1250  8 Mg 2.98-3.24, 2 Li 3.08-3.21, 2 Co 3.11-3.18
Mg  0.6653  0.3300  0.6250  12 Mg 3.06-3.24
Mg  0.6776  0.8354  0.1250  8 Mg 2.98-3.24, 2 Li 3.08-3.21, 2 Co 3.11-3.18
Mg  0.6653  0.8353  0.6250  12 Mg 3.06-3.24
Mg  0.3205  0.1692  0.3554  1 Co 2.86, 1 Li 2.93, 6 Mg 2.98-3.19
Mg  0.3205  0.1692  0.8946  1 Co 2.86, 1 Li 2.93, 6 Mg 2.98-3.19
Mg  0.3205  0.6513  0.3554  1 Co 2.86, 1 Li 2.93, 6 Mg 2.98-3.19
Mg  0.3205  0.6513  0.8946  1 Co 2.86, 1 Li 2.93, 6 Mg 2.98-3.19
Mg  0.8449  0.1724  0.3616  1 Co 2.91, 9 Mg 2.98-3.20
Mg  0.8449  0.1724  0.8884  1 Co 2.91, 9 Mg 2.98-3.20
Mg  0.8335  0.6668  0.3777  11 Mg 3.05-3.20, 1 Li 3.07
Mg  0.8335  0.6668  0.8723  11 Mg 3.05-3.20, 1 Li 3.07
Co  0.1674  0.3337  0.1250  10 Mg 2.86-3.18, 2 Li 3.19

=====

Record 6
Below is a relaxed structure of LiMg14Co, with properties calculated at the PBE-GGA level.

Computed properties:
Space group = P-6m2, No. 187
ρ = 1.99 g/cm3
Calculated formation energy = 1.0 eV per formula unit
ΔE to the lowest computed polymorph = 0.06 kcal/mol of atoms

Cell: 6.3383 6.3383 9.7393 Å, 90.00 90.00 120.00°
Closest atoms and distances in Å follow each position.
Sites, in units of the cell vectors:
Li  0.1667  0.3333  0.6250  12 Mg 3.08-3.17
Mg  0.1643  0.8321  0.1250  10 Mg 3.00-3.19, 2 Co 3.17
Mg  0.1704  0.8352  0.6250  10 Mg 3.03-3.21, 2 Li 3.17
Mg  0.6679  0.3357  0.1250  10 Mg 3.00-3.19, 2 Co 3.17
Mg  0.6648  0.3296  0.6250  10 Mg 3.03-3.21, 2 Li 3.17
Mg  0.6679  0.8321  0.1250  10 Mg 3.00-3.19, 2 Co 3.17
Mg  0.6648  0.8352  0.6250  10 Mg 3.03-3.21, 2 Li 3.17
Mg  0.3258  0.1742  0.3649  1 Co 2.92, 8 Mg 3.00-3.17, 1 Li 3.08
Mg  0.3258  0.1742  0.8851  1 Co 2.92, 8 Mg 3.00-3.17, 1 Li 3.08
Mg  0.3258  0.6516  0.3649  1 Co 2.92, 8 Mg 3.00-3.17, 1 Li 3.08
Mg  0.3258  0.6516  0.8851  1 Co 2.92, 8 Mg 3.00-3.17, 1 Li 3.08
Mg  0.8484  0.1742  0.3649  1 Co 2.92, 8 Mg 3.00-3.17, 1 Li 3.08
Mg  0.8484  0.1742  0.8851  1 Co 2.92, 8 Mg 3.00-3.17, 1 Li 3.08
Mg  0.8333  0.6667  0.3786  12 Mg 3.03-3.17
Mg  0.8333  0.6667  0.8714  12 Mg 3.03-3.17
Co  0.1667  0.3333  0.1250  12 Mg 2.92-3.17

=====

Record 7
Below is a relaxed structure of Li3CoN2, with properties calculated at the PBE-GGA level.

Computed properties:
Space group = Ia-3, No. 206
ρ = 3.41 g/cm3
Calculated formation energy = -2.4 eV per formula unit

Cell: 8.1714 8.1714 8.1714 Å, 109.47 109.47 109.47°
Closest atoms and distances in Å follow each position.
Sites, in units of the cell vectors:
Li  0.5149  0.4797  0.2576  4 N 2.03-2.22
Li  0.7779  0.0203  0.5352  4 N 2.03-2.22
Li  0.7221  0.2573  0.2424  4 N 2.03-2.22
Li  0.9851  0.2427  0.9648  4 N 2.03-2.22
Li  0.5352  0.7779  0.0203  4 N 2.03-2.22
Li  0.2576  0.5149  0.4797  4 N 2.03-2.22
Li  0.9648  0.9851  0.2427  4 N 2.03-2.22
Li  0.2424  0.7221  0.2573  4 N 2.03-2.22
Li  0.2573  0.2424  0.7221  4 N 2.03-2.22
Li  0.2427  0.9648  0.9851  4 N 2.03-2.22
Li  0.4797  0.2576  0.5149  4 N 2.03-2.22
Li  0.0203  0.5352  0.7779  4 N 2.03-2.22
Li  0.4851  0.5203  0.7424  4 N 2.03-2.22
Li  0.2221  0.9797  0.4648  4 N 2.03-2.22
Li  0.2779  0.7427  0.7576  4 N 2.03-2.22
Li  0.0149  0.7573  0.0352  4 N 2.03-2.22
Li  0.4648  0.2221  0.9797  4 N 2.03-2.22
Li  0.7424  0.4851  0.5203  4 N 2.03-2.22
Li  0.0352  0.0149  0.7573  4 N 2.03-2.22
Li  0.7576  0.2779  0.7427  4 N 2.03-2.22
Li  0.7427  0.7576  0.2779  4 N 2.03-2.22
Li  0.7573  0.0352  0.0149  4 N 2.03-2.22
Li  0.5203  0.7424  0.4851  4 N 2.03-2.22
Li  0.9797  0.4648  0.2221  4 N 2.03-2.22
Co  0.2259  0.2259  0.2259  4 N 1.85-1.94
Co  0.0000  0.2741  0.5000  4 N 1.85-1.94
Co  0.5000  0.0000  0.2741  4 N 1.85-1.94
Co  0.2741  0.5000  0.0000  4 N 1.85-1.94
Co  0.7741  0.7741  0.7741  4 N 1.85-1.94
Co  0.0000  0.7259  0.5000  4 N 1.85-1.94
Co  0.5000  0.0000  0.7259  4 N 1.85-1.94
Co  0.7259  0.5000  0.0000  4 N 1.85-1.94
N  0.0000  0.0000  0.0000  2 Co 1.85
N  0.0000  0.5000  0.5000  2 Co 1.85
N  0.5000  0.0000  0.5000  2 Co 1.85
N  0.5000  0.5000  0.0000  2 Co 1.85
N  0.2167  0.2500  0.4667  2 Co 1.94, 4 Li 2.03-2.04
N  0.2833  0.7500  0.0333  2 Co 1.94, 4 Li 2.03-2.04
N  0.4667  0.2167  0.2500  2 Co 1.94, 4 Li 2.03-2.04
N  0.0333  0.2833  0.7500  2 Co 1.94, 4 Li 2.03-2.04
N  0.7500  0.0333  0.2833  2 Co 1.94, 4 Li 2.03-2.04
N  0.2500  0.4667  0.2167  2 Co 1.94, 4 Li 2.03-2.04
N  0.7833  0.7500  0.5333  2 Co 1.94, 4 Li 2.03-2.04
N  0.7167  0.2500  0.9667  2 Co 1.94, 4 Li 2.03-2.04
N  0.5333  0.7833  0.7500  2 Co 1.94, 4 Li 2.03-2.04
N  0.9667  0.7167  0.2500  2 Co 1.94, 4 Li 2.03-2.04
N  0.2500  0.9667  0.7167  2 Co 1.94, 4 Li 2.03-2.04
N  0.7500  0.5333  0.7833  2 Co 1.94, 4 Li 2.03-2.04

=====

Record 8
Below is a relaxed structure of Li2Co12P7, with properties calculated at the PBE-GGA level.

Computed properties:
Space group = P-6, No. 174
ρ = 6.52 g/cm3
Calculated formation energy = -13.4 eV per formula unit

Cell: 8.8929 8.8929 3.4856 Å, 90.00 90.00 120.00°
Closest atoms and distances in Å follow each position.
Sites, in units of the cell vectors:
Li  0.0000  0.0000  0.0000  6 P 2.75, 9 Co 2.89-3.01
Li  0.3333  0.6667  0.5000  6 P 2.73, 6 Co 2.85
Co  0.2923  0.8973  0.0000  4 P 2.17-2.28
Co  0.6050  0.7077  0.0000  4 P 2.17-2.28
Co  0.1027  0.3950  0.0000  4 P 2.17-2.28
Co  0.7847  0.1750  0.0000  4 P 2.14-2.22
Co  0.3903  0.2153  0.0000  4 P 2.14-2.22
Co  0.8250  0.6097  0.0000  4 P 2.14-2.22
Co  0.7183  0.9460  0.5000  4 P 2.18-2.26
Co  0.2277  0.2817  0.5000  4 P 2.18-2.26
Co  0.0540  0.7723  0.5000  4 P 2.18-2.26
Co  0.5359  0.1041  0.5000  5 P 2.24-2.49
Co  0.5682  0.4641  0.5000  5 P 2.24-2.49
Co  0.8959  0.4318  0.5000  5 P 2.24-2.49
P  0.5467  0.9197  0.0000  7 Co 2.17-2.43
P  0.3730  0.4533  0.0000  7 Co 2.17-2.43
P  0.0803  0.6270  0.0000  7 Co 2.17-2.43
P  0.9558  0.2147  0.5000  7 Co 2.18-2.28
P  0.2590  0.0442  0.5000  7 Co 2.18-2.28
P  0.7853  0.7410  0.5000  7 Co 2.18-2.28
P  0.6667  0.3333  0.0000  3 Co 2.14

=====

Record 9
Below is a relaxed structure of LiCo6P4, with properties calculated at the PBE-GGA level.

Computed properties:
Space group = P-6m2, No. 187
ρ = 6.51 g/cm3
Calculated formation energy = -7.1 eV per formula unit

Cell: 6.5403 6.5403 3.3357 Å, 90.00 90.00 120.00°
Closest atoms and distances in Å follow each position.
Sites, in units of the cell vectors:
Li  0.0000  0.0000  0.0000  6 P 2.67, 6 Co 2.81
Co  0.1999  0.8001  0.5000  4 P 2.18-2.25
Co  0.1999  0.3998  0.5000  4 P 2.18-2.25
Co  0.5360  0.0720  0.0000  5 P 2.30-2.31, 2 Co 2.56
Co  0.9280  0.4640  0.0000  5 P 2.30-2.31, 2 Co 2.56
Co  0.5360  0.4640  0.0000  5 P 2.30-2.31, 2 Co 2.56
Co  0.6002  0.8001  0.5000  4 P 2.18-2.25
P  0.8164  0.1836  0.5000  6 Co 2.18-2.31
P  0.3672  0.1836  0.5000  6 Co 2.18-2.31
P  0.3333  0.6667  0.0000  9 Co 2.25-2.30
P  0.8164  0.6328  0.5000  6 Co 2.18-2.31

=====

Record 10
Below is a relaxed structure of LiCoS2, with properties calculated at the PBE-GGA level.

Computed properties:
Space group = P2/c, No. 13
ρ = 3.77 g/cm3
Calculated formation energy = -4.0 eV per formula unit
ΔE to the lowest computed polymorph = 0.00 kcal/mol of atoms

Cell: 3.4075 5.6873 5.9022 Å, 89.98 90.00 90.00°
Closest atoms and distances in Å follow each position.
Sites, in units of the cell vectors:
Li  0.2582  0.5000  0.7500  6 S 2.58-2.62, 2 Co 2.84
Li  0.7418  0.5000  0.2500  6 S 2.58-2.62, 2 Co 2.84
Co  0.7493  0.0000  0.2500  6 S 2.27-2.28
Co  0.2507  0.0000  0.7500  6 S 2.27-2.28
S  0.2491  0.2017  0.0826  3 Co 2.27-2.28
S  0.7509  0.2017  0.5826  3 Co 2.27-2.28
S  0.7509  0.7983  0.9174  3 Co 2.27-2.28
S  0.2491  0.7983  0.4174  3 Co 2.27-2.28

=====

Record 11
Below is a relaxed structure of LiCoS2, with properties calculated at the PBE-GGA level.

Computed properties:
Space group = P2_1/m, No. 11
ρ = 3.62 g/cm3
Calculated formation energy = -3.8 eV per formula unit
ΔE to the lowest computed polymorph = 1.42 kcal/mol of atoms

Cell: 4.3790 3.3742 8.0821 Å, 90.39 90.00 90.00°
Closest atoms and distances in Å follow each position.
Sites, in units of the cell vectors:
Li  0.2500  0.7772  0.1293  4 S 2.48-2.73
Li  0.7500  0.2228  0.8707  4 S 2.48-2.73
Co  0.7500  0.7484  0.3708  6 S 2.23-2.30
Co  0.2500  0.2516  0.6292  6 S 2.23-2.30
S  0.7500  0.2457  0.1779  2 Co 2.30, 1 Li 2.48
S  0.2500  0.7491  0.4478  4 Co 2.23-2.28
S  0.7500  0.2509  0.5522  4 Co 2.23-2.28
S  0.2500  0.7543  0.8221  2 Co 2.30, 1 Li 2.48

=====

Record 12
Below is a relaxed structure of LiCoS2, with properties calculated at the PBE-GGA level.

Computed properties:
Space group = P2_1/m, No. 11
ρ = 3.60 g/cm3
Calculated formation energy = -3.7 eV per formula unit
ΔE to the lowest computed polymorph = 1.80 kcal/mol of atoms

Cell: 4.5018 3.4125 7.8043 Å, 89.54 90.00 90.00°
Closest atoms and distances in Å follow each position.
Sites, in units of the cell vectors:
Li  0.2500  0.0158  0.1241  4 S 2.43-2.65
Li  0.7500  0.9842  0.8759  4 S 2.43-2.65
Co  0.7500  0.7573  0.3701  6 S 2.23-2.32
Co  0.2500  0.2427  0.6299  6 S 2.23-2.32
S  0.7500  0.2599  0.1741  2 Co 2.29, 3 Li 2.43-2.52
S  0.2500  0.7509  0.4440  4 Co 2.23-2.32
S  0.7500  0.2491  0.5560  4 Co 2.23-2.32
S  0.2500  0.7401  0.8259  2 Co 2.29, 3 Li 2.43-2.52